! NaCaMn2P3H2O12 (PBE+U, optimized geometry); values from VASP
! Total energy = -6.975 eV/atom
! SG = C2/c (15)
! Calculated volume = 11.6 Å³/atom
&SYSTEM
  ibrav = 0, nat = 42, ntyp = 6
/
ATOMIC_SPECIES
O 16.00 O.upf
H 1.01 H.upf
Na 22.99 Na.upf
P 30.97 P.upf
Mn 54.94 Mn.upf
Ca 40.08 Ca.upf
CELL_PARAMETERS angstrom
6.287 6.333 0.000
-6.287 6.333 0.000
0.000 2.904 6.139
ATOMIC_POSITIONS crystal
O 0.268 0.426 0.841
O 0.715 0.481 0.759
O 0.388 0.046 0.192
O 0.849 0.852 0.096
O 0.283 0.807 0.044
O 0.672 0.009 0.402
O 0.574 0.732 0.659
O 0.151 0.148 0.904
O 0.148 0.151 0.404
O 0.426 0.268 0.341
O 0.732 0.574 0.159
O 0.328 0.991 0.598
O 0.285 0.519 0.241
O 0.193 0.717 0.456
O 0.612 0.954 0.808
O 0.807 0.283 0.544
O 0.954 0.612 0.308
O 0.009 0.672 0.902
O 0.852 0.849 0.596
O 0.519 0.285 0.741
O 0.991 0.328 0.098
O 0.046 0.388 0.692
O 0.717 0.193 0.956
O 0.481 0.715 0.259
H 0.627 0.627 0.197
H 0.373 0.373 0.303
H 0.627 0.627 0.697
H 0.373 0.373 0.803
Na 0.955 0.045 0.750
Na 0.045 0.955 0.250
P 0.318 0.109 0.385
P 0.109 0.318 0.885
P 0.689 0.311 0.750
P 0.311 0.689 0.250
P 0.682 0.891 0.615
P 0.891 0.682 0.115
Mn 0.055 0.381 0.361
Mn 0.381 0.055 0.861
Mn 0.619 0.945 0.139
Mn 0.945 0.619 0.639
Ca 0.713 0.287 0.250
Ca 0.287 0.713 0.750